The following is a PBE calculation of a geometry-optimized Al4Ni3 structure, from the Materials Project.

Calculated values
- VASP energy: -293.774 eV/cell

Lattice parameters (Å, degrees): 9.873 9.873 9.873 109.47 109.47 109.47
Element x y z (fractional)
1 Al 0.241 0.491 0.750
2 Al 0.500 0.500 0.500
3 Al 0.000 0.500 0.000
4 Al 0.991 0.741 0.250
5 Al 0.991 0.750 0.741
6 Al 0.741 0.991 0.750
7 Al 0.500 0.000 0.000
8 Al 0.759 0.750 0.509
9 Ni 0.006 0.013 0.756
10 Ni 0.744 0.487 0.494
11 Al 0.509 0.759 0.750
12 Al 0.250 0.759 0.509
13 Ni 0.506 0.256 0.513
14 Ni 0.494 0.744 0.487
15 Ni 0.994 0.987 0.244
16 Al 0.009 0.250 0.259
17 Ni 0.250 0.006 0.494
18 Ni 0.987 0.244 0.994
19 Ni 0.756 0.250 0.744
20 Al 0.750 0.009 0.259
21 Ni 0.256 0.244 0.750
22 Al 0.250 0.491 0.241
23 Al 0.491 0.241 0.250
24 Al 0.000 0.000 0.500
25 Al 0.000 0.500 0.500
26 Al 0.000 0.000 0.000
27 Al 0.250 0.259 0.009
28 Al 0.491 0.750 0.241
29 Al 0.509 0.250 0.759
30 Ni 0.006 0.494 0.250
31 Ni 0.750 0.994 0.506
32 Ni 0.244 0.994 0.987
33 Al 0.250 0.991 0.741
34 Al 0.259 0.750 0.009
35 Al 0.500 0.500 0.000
36 Al 0.241 0.250 0.491
37 Al 0.759 0.509 0.250
38 Al 0.259 0.009 0.250
39 Al 0.009 0.259 0.750
40 Ni 0.506 0.750 0.994
41 Ni 0.250 0.744 0.756
42 Al 0.750 0.241 0.491
43 Ni 0.756 0.006 0.013
44 Al 0.750 0.741 0.991
45 Ni 0.487 0.494 0.744
46 Ni 0.013 0.756 0.006
47 Ni 0.513 0.506 0.256
48 Ni 0.750 0.256 0.244
49 Ni 0.256 0.513 0.506
50 Ni 0.994 0.506 0.750
51 Al 0.750 0.509 0.759
52 Al 0.500 0.000 0.500
53 Ni 0.244 0.750 0.256
54 Al 0.741 0.250 0.991
55 Ni 0.494 0.250 0.006
56 Ni 0.744 0.756 0.250

---

The following is a PBE calculation of a geometry-optimized AlNi structure, from the Materials Project.

Calculated values
- Total magnetization: 0.00 μB/f.u.
- VASP energy: -10.790 eV/cell

Lattice parameters (Å, degrees): 2.752 2.752 3.099 90.00 90.00 90.43
Element x y z (fractional)
1 Al 0.000 0.000 0.000
2 Ni 0.500 0.500 0.500

---

The following is a PBE calculation of a geometry-optimized Al3Ni5 structure, from the Materials Project.

Calculated values
- VASP energy: -44.665 eV/cell

Lattice parameters (Å, degrees): 4.996 4.996 3.740 90.00 90.00 97.46
Element x y z (fractional)
1 Ni 0.000 0.500 0.000
2 Al 0.276 0.724 0.500
3 Ni 0.500 0.000 0.000
4 Al 0.724 0.276 0.500
5 Ni 0.226 0.226 0.500
6 Ni 0.774 0.774 0.500
7 Al 0.000 0.000 0.000
8 Ni 0.500 0.500 0.000

---

The following is a PBE calculation of a geometry-optimized AlNi3 structure, from the Materials Project.

Calculated values
- VASP energy: -45.543 eV/cell

Lattice parameters (Å, degrees): 5.059 5.059 4.060 90.00 90.00 120.00
Element x y z (fractional)
1 Al 0.667 0.333 0.250
2 Ni 0.670 0.835 0.250
3 Ni 0.835 0.670 0.750
4 Ni 0.835 0.165 0.750
5 Al 0.333 0.667 0.750
6 Ni 0.165 0.330 0.250
7 Ni 0.165 0.835 0.250
8 Ni 0.330 0.165 0.750

---

The following is a PBE calculation of a geometry-optimized AlNi3 structure, from the Materials Project.

Calculated values
- VASP energy: -22.822 eV/cell

Lattice parameters (Å, degrees): 3.561 3.561 3.561 90.00 90.00 90.00
Element x y z (fractional)
1 Ni 0.500 0.500 0.000
2 Ni 0.000 0.500 0.500
3 Al 0.000 0.000 0.000
4 Ni 0.500 0.000 0.500

---

The following is a PBE calculation of a geometry-optimized AlNi structure, from the Materials Project.

Calculated values
- Total magnetization: 0.00 μB/f.u.
- VASP energy: -10.350 eV/cell

Lattice parameters (Å, degrees): 2.690 2.690 4.111 73.61 73.61 62.45
Element x y z (fractional)
1 Al 0.000 0.000 0.000
2 Ni 0.500 0.500 0.500

---

Copy entry 5 word for word.
The following is a PBE calculation of a geometry-optimized AlNi3 structure, from the Materials Project.

Calculated values
- VASP energy: -22.822 eV/cell

Lattice parameters (Å, degrees): 3.561 3.561 3.561 90.00 90.00 90.00
Element x y z (fractional)
1 Ni 0.500 0.500 0.000
2 Ni 0.000 0.500 0.500
3 Al 0.000 0.000 0.000
4 Ni 0.500 0.000 0.500

---

The lowest VASP energy belongs to which entry?
Al4Ni3